Sn2S3O12: optimized geometry, GGA-PBE.

Cell lengths 9.191, 9.191, 9.191 Å; angles 60.00, 60.00, 60.00 degrees
Atoms (fractional coordinates):
Sn1 0.860 0.860 0.860
Sn2 0.640 0.640 0.640
Sn3 0.140 0.140 0.140
Sn4 0.360 0.360 0.360
S1 0.250 0.546 0.954
S2 0.454 0.046 0.750
S3 0.046 0.750 0.454
S4 0.954 0.250 0.546
S5 0.546 0.954 0.250
S6 0.750 0.454 0.046
O1 0.400 0.559 0.780
O2 0.220 0.600 0.441
O3 0.402 0.989 0.194
O4 0.511 0.098 0.306
O5 0.100 0.720 0.941
O6 0.280 0.059 0.900
O7 0.441 0.220 0.600
O8 0.694 0.489 0.902
O9 0.011 0.806 0.598
O10 0.806 0.598 0.011
O11 0.902 0.694 0.489
O12 0.059 0.900 0.280
O13 0.941 0.100 0.720
O14 0.194 0.402 0.989
O15 0.098 0.306 0.511
O16 0.306 0.511 0.098
O17 0.989 0.194 0.402
O18 0.559 0.780 0.400
O19 0.720 0.941 0.100
O20 0.900 0.280 0.059
O21 0.598 0.011 0.806
O22 0.489 0.902 0.694
O23 0.780 0.400 0.559
O24 0.600 0.441 0.220

Properties
The formation energy comes out at -1.76 eV/atom. Its space group is R-3c, No. 167. The crystal system is trigonal.